VASP calculation (GGA-PBE) on Lu3Th after structural relaxation.

Cell and atoms, written as extended XYZ:
```
8
Lattice="3.521 -6.099 0.000 3.521 6.099 0.000 0.000 0.000 5.680" Properties=species:S:1:pos:R:3 pbc="T T T"
Lu 1.754 1.013 1.420
Lu 5.289 1.013 1.420
Lu 3.521 4.074 1.420
Lu 5.289 -1.013 4.260
Lu 1.754 -1.013 4.260
Lu 3.521 -4.074 4.260
Th 3.521 2.033 4.260
Th 3.521 -2.033 1.420
```

## Properties
Uncorrected energy = -5.213 eV/atom
Energy of formation = 0.031 eV/atom

VASP calculation (GGA-PBE) on Lu3Th after structural relaxation.

Cell and atoms, written as extended XYZ:
```
4
Lattice="2.103 0.381 -2.820 -3.506 -0.212 -0.424 -0.789 11.205 0.926" Properties=species:S:1:pos:R:3 pbc="T T T"
Lu -1.637 -0.014 -1.222
Lu -0.361 8.630 -1.323
Lu 0.039 2.942 -1.793
Th -2.031 5.589 -0.759
```

## Properties
Uncorrected energy = -5.212 eV/atom
Energy of formation = 0.032 eV/atom

VASP calculation (GGA-PBE) on Lu3Th after structural relaxation.

Cell and atoms, written as extended XYZ:
```
4
Lattice="-2.495 2.495 4.885 2.495 -2.495 4.885 2.495 2.495 -4.885" Properties=species:S:1:pos:R:3 pbc="T T T"
Lu 0.000 2.495 2.443
Lu 2.495 0.000 2.443
Lu 0.000 0.000 4.885
Th 0.000 0.000 0.000
```

## Properties
Uncorrected energy = -5.205 eV/atom
Energy of formation = 0.039 eV/atom

Look up the energy of formation of the second one. 0.032 eV/atom